This record from the Materials Project database describes an optimized crystal structure of K3NaTh2O6. The functional is GGA-PBE.

CIF file:
```
data_K3NaTh2O6
_chemical_formula_sum 'K12 Na4 Th8 O24'
_cell_length_a 6.3425
_cell_length_b 10.9914
_cell_length_c 12.7695
_cell_angle_alpha 90.00
_cell_angle_beta 99.56
_cell_angle_gamma 90.00
_symmetry_space_group_name_H-M 'C 1 2/c 1'
_symmetry_Int_Tables_number 15
loop_
_symmetry_equiv_pos_as_xyz
'x,y,z'
'-x,-y,-z'
'-x,y,-z+1/2'
'x,-y,z+1/2'
'x+1/2,y+1/2,z'
'-x+1/2,-y+1/2,-z'
'-x+1/2,y+1/2,-z+1/2'
'x+1/2,-y+1/2,z+1/2'
loop_
_atom_site_label
_atom_site_fract_x
_atom_site_fract_y
_atom_site_fract_z
_atom_site_occupancy
K1 0.2346 0.0781 0.9998 1
K2 0.2500 0.2500 0.5000 1
Na1 0.0000 0.0843 0.2500 1
Th1 0.0000 0.2499 0.7500 1
Th2 0.0000 0.4173 0.2500 1
O1 0.0967 0.4161 0.6527 1
O2 0.1518 0.1005 0.6530 1
O3 0.1526 0.2691 0.1531 1
```

Properties
- formation energy from the elements (eV/atom) = -2.9606
- crystal system = monoclinic
- size of the total moment (μB/atom) = 0.000


This record from the Materials Project database describes an optimized crystal structure of K2NaTlO3. The functional is GGA-PBE.

CIF file:
```
data_K2NaTlO3
_chemical_formula_sum 'K8 Na4 Tl4 O12'
_cell_length_a 6.5214
_cell_length_b 7.0262
_cell_length_c 12.1174
_cell_angle_alpha 90.00
_cell_angle_beta 95.24
_cell_angle_gamma 90.00
_symmetry_space_group_name_H-M 'P 1 21/c 1'
_symmetry_Int_Tables_number 14
loop_
_symmetry_equiv_pos_as_xyz
'x,y,z'
'-x,-y,-z'
'-x,y+1/2,-z+1/2'
'x,-y+1/2,z+1/2'
loop_
_atom_site_label
_atom_site_fract_x
_atom_site_fract_y
_atom_site_fract_z
_atom_site_occupancy
K1 0.0695 0.1403 0.1419 1
K2 0.4215 0.6663 0.8526 1
Na1 0.3591 0.1251 0.9134 1
Tl1 0.1475 0.6260 0.0906 1
O1 0.1940 0.0997 0.4579 1
O2 0.2451 0.0066 0.7447 1
O3 0.2840 0.6183 0.5354 1
```

Properties
- formation energy from the elements (eV/atom) = -1.4405
- crystal system = monoclinic
- size of the total moment (μB/atom) = 0.000


This record from the Materials Project database describes an optimized crystal structure of K2Na3SiP3. The functional is GGA-PBE.

CIF file:
```
data_K2Na3SiP3
_chemical_formula_sum 'K8 Na12 Si4 P12'
_cell_length_a 14.6637
_cell_length_b 4.8008
_cell_length_c 13.2225
_cell_angle_alpha 90.00
_cell_angle_beta 90.00
_cell_angle_gamma 90.00
_symmetry_space_group_name_H-M 'P n m a'
_symmetry_Int_Tables_number 62
loop_
_symmetry_equiv_pos_as_xyz
'x,y,z'
'-x,-y,-z'
'-x+1/2,-y,z+1/2'
'x+1/2,y,-z+1/2'
'x+1/2,-y+1/2,-z+1/2'
'-x+1/2,y+1/2,z+1/2'
'-x,y+1/2,-z'
'x,-y+1/2,z'
loop_
_atom_site_label
_atom_site_fract_x
_atom_site_fract_y
_atom_site_fract_z
_atom_site_occupancy
K1 0.0120 0.2500 0.1362 1
K2 0.2017 0.7500 0.0594 1
Na1 0.0591 0.2500 0.4289 1
Na2 0.0840 0.2500 0.6829 1
Na3 0.2425 0.7500 0.7662 1
Si1 0.2032 0.7500 0.4156 1
P1 0.1135 0.7500 0.2838 1
P2 0.1406 0.7500 0.5672 1
P3 0.1481 0.2500 0.8959 1
```

Properties
- formation energy from the elements (eV/atom) = -0.4204
- crystal system = orthorhombic
- size of the total moment (μB/atom) = 0.000


This record from the Materials Project database describes an optimized crystal structure of K3NaSn3Se8. The functional is GGA-PBE.

CIF file:
```
data_K3NaSn3Se8
_chemical_formula_sum 'K6 Na2 Sn6 Se16'
_cell_length_a 8.3282
_cell_length_b 8.3282
_cell_length_c 13.9341
_cell_angle_alpha 90.00
_cell_angle_beta 90.00
_cell_angle_gamma 90.00
_symmetry_space_group_name_H-M 'P 4/n b m'
_symmetry_Int_Tables_number 125
loop_
_symmetry_equiv_pos_as_xyz
'x,y,z'
'-x,-y,-z'
'-y+1/2,x,z'
'y+1/2,-x,-z'
'-x+1/2,-y+1/2,z'
'x+1/2,y+1/2,-z'
'y,-x+1/2,z'
'-y,x+1/2,-z'
'x,-y+1/2,-z'
'-x,y+1/2,z'
'-y+1/2,-x+1/2,-z'
'y+1/2,x+1/2,z'
'-x+1/2,y,-z'
'x+1/2,-y,z'
'y,x,-z'
'-y,-x,z'
loop_
_atom_site_label
_atom_site_fract_x
_atom_site_fract_y
_atom_site_fract_z
_atom_site_occupancy
K1 0.2500 0.2500 0.0000 1
K2 0.2500 0.2500 0.2771 1
Na1 0.2500 0.7500 0.0000 1
Sn1 0.2500 0.7500 0.2459 1
Sn2 0.2500 0.7500 0.5000 1
Se1 0.0691 0.5691 0.1473 1
Se2 0.0857 0.5857 0.6232 1
```

Properties
- formation energy from the elements (eV/atom) = -1.0252
- crystal system = tetragonal
- size of the total moment (μB/atom) = 0.000


This record from the Materials Project database describes an optimized crystal structure of K2Na4ZnSn2. The functional is GGA-PBE.

CIF file:
```
data_K2Na4ZnSn2
_chemical_formula_sum 'K8 Na16 Zn4 Sn8'
_cell_length_a 11.6912
_cell_length_b 10.0449
_cell_length_c 11.4842
_cell_angle_alpha 90.00
_cell_angle_beta 119.40
_cell_angle_gamma 90.00
_symmetry_space_group_name_H-M 'P 1 21/c 1'
_symmetry_Int_Tables_number 14
loop_
_symmetry_equiv_pos_as_xyz
'x,y,z'
'-x,-y,-z'
'-x,y+1/2,-z+1/2'
'x,-y+1/2,z+1/2'
loop_
_atom_site_label
_atom_site_fract_x
_atom_site_fract_y
_atom_site_fract_z
_atom_site_occupancy
K1 0.1449 0.0329 0.1833 1
K2 0.1767 0.1079 0.7967 1
Na1 0.0072 0.1775 0.4272 1
Na2 0.3320 0.7222 0.2615 1
Na3 0.4240 0.5246 0.6220 1
Na4 0.4898 0.1597 0.4239 1
Zn1 0.2435 0.5353 0.0120 1
Sn1 0.1615 0.7244 0.4231 1
Sn2 0.3521 0.1917 0.6147 1
```

Properties
- formation energy from the elements (eV/atom) = -0.1656
- crystal system = monoclinic
- size of the total moment (μB/atom) = 0.000


This record from the Materials Project database describes an optimized crystal structure of K7Na17Zn4Sn8. The functional is GGA-PBE.

CIF file:
```
data_K7Na17Zn4Sn8
_chemical_formula_sum 'K7 Na17 Zn4 Sn8'
_cell_length_a 9.9901
_cell_length_b 11.4079
_cell_length_c 11.6110
_cell_angle_alpha 60.64
_cell_angle_beta 89.89
_cell_angle_gamma 89.74
_symmetry_space_group_name_H-M 'P 1'
_symmetry_Int_Tables_number 1
loop_
_symmetry_equiv_pos_as_xyz
'x,y,z'
loop_
_atom_site_label
_atom_site_fract_x
_atom_site_fract_y
_atom_site_fract_z
_atom_site_occupancy
K1 0.0000 0.0000 0.0000 1
K2 0.0645 0.3664 0.7115 1
K3 0.1402 0.9795 0.6782 1
K4 0.4250 0.4793 0.6780 1
K5 0.4998 0.8663 0.7100 1
K6 0.5681 0.4983 0.0005 1
K7 0.6402 0.8860 0.0316 1
Na1 0.0082 0.3049 0.4295 1
Na2 0.0563 0.0638 0.2774 1
Na3 0.1924 0.6066 0.3646 1
Na4 0.2071 0.6081 0.8495 1
Na5 0.2526 0.4209 0.1863 1
Na6 0.3103 0.9210 0.1871 1
Na7 0.3553 0.1099 0.8477 1
Na8 0.3731 0.1069 0.3647 1
Na9 0.5077 0.5604 0.2795 1
Na10 0.5570 0.8048 0.4304 1
Na11 0.6934 0.2592 0.3439 1
Na12 0.7122 0.2565 0.8638 1
Na13 0.7547 0.4438 0.5228 1
Na14 0.8108 0.9444 0.5231 1
Na15 0.8563 0.7525 0.8635 1
Na16 0.8738 0.7586 0.3452 1
Na17 0.9241 0.3854 0.0348 1
Zn1 0.0681 0.6704 0.0976 1
Zn2 0.4964 0.1705 0.0987 1
Zn3 0.5676 0.1952 0.6117 1
Zn4 0.9981 0.6955 0.6113 1
Sn1 0.2257 0.7976 0.5020 1
Sn2 0.2533 0.2603 0.0158 1
Sn3 0.3099 0.7599 0.0163 1
Sn4 0.3394 0.2973 0.5022 1
Sn5 0.7277 0.0707 0.2058 1
Sn6 0.7575 0.6043 0.6956 1
Sn7 0.8095 0.1057 0.6936 1
Sn8 0.8404 0.5657 0.2048 1
```

Properties
- formation energy from the elements (eV/atom) = -0.1635
- crystal system = triclinic
- size of the total moment (μB/atom) = 0.000


This record from the Materials Project database describes an optimized crystal structure of KNaTe. The functional is GGA-PBE.

CIF file:
```
data_KNaTe
_chemical_formula_sum 'K4 Na4 Te4'
_cell_length_a 8.6468
_cell_length_b 5.1511
_cell_length_c 9.3893
_cell_angle_alpha 90.00
_cell_angle_beta 90.00
_cell_angle_gamma 90.00
_symmetry_space_group_name_H-M 'P n m a'
_symmetry_Int_Tables_number 62
loop_
_symmetry_equiv_pos_as_xyz
'x,y,z'
'-x,-y,-z'
'-x+1/2,-y,z+1/2'
'x+1/2,y,-z+1/2'
'x+1/2,-y+1/2,-z+1/2'
'-x+1/2,y+1/2,z+1/2'
'-x,y+1/2,-z'
'x,-y+1/2,z'
loop_
_atom_site_label
_atom_site_fract_x
_atom_site_fract_y
_atom_site_fract_z
_atom_site_occupancy
K1 0.0148 0.2500 0.1846 1
Na1 0.1448 0.2500 0.5727 1
Te1 0.2230 0.7500 0.3918 1
```

Properties
- formation energy from the elements (eV/atom) = -1.1430
- crystal system = orthorhombic


This record from the Materials Project database describes an optimized crystal structure of K6Na4Tl13. The functional is GGA-PBE.

CIF file:
```
data_K6Na4Tl13
_chemical_formula_sum 'K12 Na8 Tl26'
_cell_length_a 11.8388
_cell_length_b 11.8388
_cell_length_c 11.8388
_cell_angle_alpha 90.00
_cell_angle_beta 90.00
_cell_angle_gamma 90.00
_symmetry_space_group_name_H-M 'I m -3'
_symmetry_Int_Tables_number 204
_symmetry_space_group_name_Hall '-I 2 2 3'
loop_
_atom_site_label
_atom_site_fract_x
_atom_site_fract_y
_atom_site_fract_z
_atom_site_occupancy
K1 0.0000 0.1721 0.5000 1
Na1 0.2500 0.2500 0.2500 1
Tl1 0.0000 0.0000 0.0000 1
Tl2 0.0000 0.2411 0.1415 1
```

Properties
- formation energy from the elements (eV/atom) = -0.1231
- crystal system = cubic


This record from the Materials Project database describes an optimized crystal structure of K18Na46Tl31. The functional is GGA-PBE.

CIF file:
```
data_K18Na46Tl31
_chemical_formula_sum 'K18 Na46 Tl31'
_cell_length_a 11.3913
_cell_length_b 11.3913
_cell_length_c 30.4678
_cell_angle_alpha 90.00
_cell_angle_beta 90.00
_cell_angle_gamma 120.00
_symmetry_space_group_name_H-M 'P -6 m 2'
_symmetry_Int_Tables_number 187
_symmetry_space_group_name_Hall 'P -6 2'
loop_
_atom_site_label
_atom_site_fract_x
_atom_site_fract_y
_atom_site_fract_z
_atom_site_occupancy
K1 0.0687 0.5344 0.1896 1
K2 0.2015 0.4030 0.3101 1
K3 0.2499 0.1249 0.0000 1
K4 0.4172 0.2086 0.5000 1
Na1 0.0000 0.0000 0.2889 1
Na2 0.1554 0.3108 0.4409 1
Na3 0.1661 0.3322 0.0963 1
Na4 0.3260 0.1630 0.3664 1
Na5 0.3333 0.1667 0.2499 1
Na6 0.3418 0.1709 0.1335 1
Na7 0.5003 0.0006 0.4038 1
Na8 0.5120 0.0241 0.0600 1
Na9 0.6667 0.3333 0.2110 1
Tl1 0.0000 0.0000 0.1068 1
Tl2 0.0000 0.0000 0.3977 1
Tl3 0.0000 0.0000 0.5000 1
Tl4 0.0990 0.1979 0.1958 1
Tl5 0.1379 0.5690 0.5000 1
Tl6 0.2350 0.4700 0.0000 1
Tl7 0.3333 0.6667 0.0887 1
Tl8 0.3333 0.6667 0.4110 1
Tl9 0.5680 0.1360 0.3052 1
Tl10 0.6667 0.3333 0.1023 1
Tl11 0.6667 0.3333 0.3945 1
```

Properties
- formation energy from the elements (eV/atom) = -0.1122
- crystal system = hexagonal
- size of the total moment (μB/atom) = 0.019


This record from the Materials Project database describes an optimized crystal structure of K2NdNb5O15. The functional is GGA-PBE.

CIF file:
```
data_K2NdNb5O15
_chemical_formula_sum 'K4 Nd2 Nb10 O30'
_cell_length_a 12.7851
_cell_length_b 12.7851
_cell_length_c 3.9674
_cell_angle_alpha 90.00
_cell_angle_beta 90.00
_cell_angle_gamma 90.00
_symmetry_space_group_name_H-M 'P 4/m b m'
_symmetry_Int_Tables_number 127
_symmetry_space_group_name_Hall '-P 4 2ab'
loop_
_atom_site_label
_atom_site_fract_x
_atom_site_fract_y
_atom_site_fract_z
_atom_site_occupancy
K1 0.1699 0.3301 0.0000 1
Nd1 0.0000 0.0000 0.0000 1
Nb1 0.0000 0.5000 0.5000 1
Nb2 0.0765 0.7867 0.5000 1
O1 0.0000 0.5000 0.0000 1
O2 0.0007 0.3423 0.5000 1
O3 0.0582 0.1316 0.5000 1
O4 0.0790 0.8105 0.0000 1
O5 0.2178 0.7178 0.5000 1
```

Properties
- formation energy from the elements (eV/atom) = -3.0825
- crystal system = tetragonal
- size of the total moment (μB/atom) = 0.000